(1)
VASP calculation (PBE-GGA) on a geometry-optimized U4Ga12Fe structure.

Properties
Its symmetry is Im-3m, No. 229.

a b c (Å): 7.4130 7.4130 7.4130
angles (deg): 109.47 109.47 109.47
With the nearest neighbours (Å) after each atom.
Atoms (fractional coordinates):
U: 0.0000 0.0000 0.5000  12 Ga 3.03-3.04
U: 0.0000 0.5000 0.0000  12 Ga 3.03-3.04
U: 0.5000 0.0000 0.0000  12 Ga 3.03-3.04
U: 0.5000 0.5000 0.5000  12 Ga 3.03-3.04
Ga: 0.0000 0.2841 0.2841  1 Fe 2.43
Ga: 0.0000 0.7159 0.7159  1 Fe 2.43
Ga: 0.2500 0.5000 0.7500  8 Ga 2.83-3.03, 4 U 3.03
Ga: 0.2500 0.7500 0.5000  8 Ga 2.83-3.03, 4 U 3.03
Ga: 0.2841 0.0000 0.2841  1 Fe 2.43
Ga: 0.2841 0.2841 0.0000  1 Fe 2.43
Ga: 0.5000 0.2500 0.7500  8 Ga 2.83-3.03, 4 U 3.03
Ga: 0.5000 0.7500 0.2500  8 Ga 2.83-3.03, 4 U 3.03
Ga: 0.7159 0.0000 0.7159  1 Fe 2.43
Ga: 0.7159 0.7159 0.0000  1 Fe 2.43
Ga: 0.7500 0.2500 0.5000  8 Ga 2.83-3.03, 4 U 3.03
Ga: 0.7500 0.5000 0.2500  8 Ga 2.83-3.03, 4 U 3.03
Fe: 0.0000 0.0000 0.0000  6 Ga 2.43

=====

(2)
VASP calculation (PBE-GGA) on a geometry-optimized UGaFe structure.

Properties
Its symmetry is P-62m, No. 189.

a b c (Å): 6.5627 6.5627 3.9689
angles (deg): 90.00 90.00 120.00
With the nearest neighbours (Å) after each atom.
Atoms (fractional coordinates):
U: 0.0000 0.4218 0.0000  5 Fe 2.77-2.79, 2 Ga 2.99
U: 0.4218 0.0000 0.0000  5 Fe 2.77-2.79, 2 Ga 2.99
U: 0.5782 0.5782 0.0000  5 Fe 2.77-2.79, 2 Ga 2.99
Ga: 0.0000 0.7616 0.5000  4 Fe 2.53-2.56, 2 Ga 2.71
Ga: 0.2384 0.2384 0.5000  4 Fe 2.53-2.56, 2 Ga 2.71
Ga: 0.7616 0.0000 0.5000  4 Fe 2.53-2.56, 2 Ga 2.71
Fe: 0.0000 0.0000 0.0000  6 Ga 2.53, 3 U 2.77
Fe: 0.3333 0.6667 0.5000  3 Ga 2.56, 6 U 2.79
Fe: 0.6667 0.3333 0.5000  3 Ga 2.56, 6 U 2.79

=====

(3)
VASP calculation (PBE-GGA) on a geometry-optimized UGa6Fe6 structure.

Properties
Its symmetry is Immm, No. 71.

a b c (Å): 6.5669 6.5669 6.5669
angles (deg): 135.10 99.92 96.86
With the nearest neighbours (Å) after each atom.
Atoms (fractional coordinates):
U: 0.0000 0.0000 0.0000  8 Ga 2.90-3.03, 4 Fe 3.19
Ga: 0.1941 0.6941 0.5000  6 Fe 2.50-2.60
Ga: 0.3429 0.0000 0.3429  6 Fe 2.63-2.67, 1 Ga 2.65, 1 U 2.90
Ga: 0.3477 0.3477 0.0000  6 Fe 2.60-2.61, 3 Ga 2.65-2.84
Ga: 0.6523 0.6523 0.0000  6 Fe 2.60-2.61, 3 Ga 2.65-2.84
Ga: 0.6571 0.0000 0.6571  6 Fe 2.63-2.67, 1 Ga 2.65, 1 U 2.90
Ga: 0.8059 0.3059 0.5000  6 Fe 2.50-2.60
Fe: 0.0000 0.0000 0.5000  6 Ga 2.50-2.63, 4 Fe 2.51-2.52
Fe: 0.0000 0.5000 0.0000  6 Ga 2.50-2.63, 4 Fe 2.51-2.52
Fe: 0.2340 0.5000 0.7340  4 Fe 2.52, 6 Ga 2.60-2.67
Fe: 0.5000 0.0000 0.0000  6 Ga 2.50-2.63, 4 Fe 2.51-2.52
Fe: 0.5000 0.5000 0.5000  6 Ga 2.50-2.63, 4 Fe 2.51-2.52
Fe: 0.7660 0.5000 0.2660  4 Fe 2.52, 6 Ga 2.60-2.67

=====

(4)
VASP calculation (PBE-GGA) on a geometry-optimized Y4Ga12Fe structure.

Properties
Its symmetry is Im-3m, No. 229.

a b c (Å): 7.4383 7.4383 7.4383
angles (deg): 109.47 109.47 109.47
With the nearest neighbours (Å) after each atom.
Atoms (fractional coordinates):
Y: 0.0000 0.0000 0.5000  12 Ga 3.04-3.05
Y: 0.0000 0.5000 0.0000  12 Ga 3.04-3.05
Y: 0.5000 0.0000 0.0000  12 Ga 3.04-3.05
Y: 0.5000 0.5000 0.5000  12 Ga 3.04-3.05
Ga: 0.0000 0.2828 0.2828  1 Fe 2.43
Ga: 0.0000 0.7172 0.7172  1 Fe 2.43
Ga: 0.2500 0.5000 0.7500  8 Ga 2.84-3.04, 4 Y 3.04
Ga: 0.2500 0.7500 0.5000  8 Ga 2.84-3.04, 4 Y 3.04
Ga: 0.2828 0.0000 0.2828  1 Fe 2.43
Ga: 0.2828 0.2828 0.0000  1 Fe 2.43
Ga: 0.5000 0.2500 0.7500  8 Ga 2.84-3.04, 4 Y 3.04
Ga: 0.5000 0.7500 0.2500  8 Ga 2.84-3.04, 4 Y 3.04
Ga: 0.7172 0.0000 0.7172  1 Fe 2.43
Ga: 0.7172 0.7172 0.0000  1 Fe 2.43
Ga: 0.7500 0.2500 0.5000  8 Ga 2.84-3.04, 4 Y 3.04
Ga: 0.7500 0.5000 0.2500  8 Ga 2.84-3.04, 4 Y 3.04
Fe: 0.0000 0.0000 0.0000  6 Ga 2.43

=====

(5)
VASP calculation (PBE-GGA) on a geometry-optimized Zr6Ga2Fe structure.

Properties
Its symmetry is P-62m, No. 189.

a b c (Å): 7.8857 7.8857 3.3581
angles (deg): 90.00 90.00 120.00
With the nearest neighbours (Å) after each atom.
Atoms (fractional coordinates):
Zr: 0.0000 0.2486 0.0000  2 Fe 2.58
Zr: 0.0000 0.5966 0.5000  4 Ga 2.93, 1 Fe 3.18, 6 Zr 3.22-3.25
Zr: 0.2486 0.0000 0.0000  2 Fe 2.58
Zr: 0.4034 0.4034 0.5000  4 Ga 2.93, 1 Fe 3.18, 6 Zr 3.22-3.25
Zr: 0.5966 0.0000 0.5000  4 Ga 2.93, 1 Fe 3.18, 6 Zr 3.22-3.25
Zr: 0.7514 0.7514 0.0000  2 Fe 2.58
Ga: 0.3333 0.6667 0.0000  9 Zr 2.93-3.02
Ga: 0.6667 0.3333 0.0000  9 Zr 2.93-3.02
Fe: 0.0000 0.0000 0.5000  6 Zr 2.58

=====

(6)
VASP calculation (PBE-GGA) on a geometry-optimized Zr2GaFe3 structure.

Properties
Its symmetry is P6_3/mmc, No. 194.

a b c (Å): 5.0321 5.0321 8.2109
angles (deg): 90.00 90.00 120.00
With the nearest neighbours (Å) after each atom.
Atoms (fractional coordinates):
Zr: 0.3333 0.6667 0.0655  9 Fe 2.94-2.95, 3 Ga 2.95, 4 Zr 3.03-3.10
Zr: 0.3333 0.6667 0.4345  9 Fe 2.94-2.95, 3 Ga 2.95, 4 Zr 3.03-3.10
Zr: 0.6667 0.3333 0.5655  9 Fe 2.94-2.95, 3 Ga 2.95, 4 Zr 3.03-3.10
Zr: 0.6667 0.3333 0.9345  9 Fe 2.94-2.95, 3 Ga 2.95, 4 Zr 3.03-3.10
Ga: 0.0000 0.0000 0.0000  6 Fe 2.54
Ga: 0.0000 0.0000 0.5000  6 Fe 2.54
Fe: 0.1723 0.3446 0.7500  4 Fe 2.43-2.60, 2 Ga 2.54
Fe: 0.1723 0.8277 0.7500  4 Fe 2.43-2.60, 2 Ga 2.54
Fe: 0.3446 0.1723 0.2500  4 Fe 2.43-2.60, 2 Ga 2.54
Fe: 0.6554 0.8277 0.7500  4 Fe 2.43-2.60, 2 Ga 2.54
Fe: 0.8277 0.1723 0.2500  4 Fe 2.43-2.60, 2 Ga 2.54
Fe: 0.8277 0.6554 0.2500  4 Fe 2.43-2.60, 2 Ga 2.54

=====

(7)
VASP calculation (PBE-GGA) on a geometry-optimized GdFe2 structure.

Properties
Its symmetry is Fd-3m, No. 227.

a b c (Å): 5.1774 5.1774 5.1774
angles (deg): 60.00 60.00 60.00
With the nearest neighbours (Å) after each atom.
Atoms (fractional coordinates):
Gd: 0.1250 0.1250 0.1250  12 Fe 3.04, 4 Gd 3.17
Gd: 0.8750 0.8750 0.8750  12 Fe 3.04, 4 Gd 3.17
Fe: 0.0000 0.5000 0.5000  6 Fe 2.59
Fe: 0.5000 0.0000 0.5000  6 Fe 2.59
Fe: 0.5000 0.5000 0.0000  6 Fe 2.59
Fe: 0.5000 0.5000 0.5000  6 Fe 2.59

=====

(8)
VASP calculation (PBE-GGA) on a geometry-optimized Gd6Fe23 structure.

Properties
Its symmetry is Fm-3m, No. 225.

a b c (Å): 8.3338 8.3338 8.3338
angles (deg): 60.00 60.00 60.00
With the nearest neighbours (Å) after each atom.
Atoms (fractional coordinates):
Gd: 0.2090 0.2090 0.7910  12 Fe 2.85-3.03
Gd: 0.2090 0.7910 0.2090  12 Fe 2.85-3.03
Gd: 0.2090 0.7910 0.7910  12 Fe 2.85-3.03
Gd: 0.7910 0.2090 0.2090  12 Fe 2.85-3.03
Gd: 0.7910 0.2090 0.7910  12 Fe 2.85-3.03
Gd: 0.7910 0.7910 0.2090  12 Fe 2.85-3.03
Fe: 0.0000 0.0000 0.5000  8 Fe 2.42-2.57
Fe: 0.0000 0.5000 0.0000  8 Fe 2.42-2.57
Fe: 0.0000 0.5000 0.5000  8 Fe 2.42-2.57
Fe: 0.1321 0.6226 0.6226  7 Fe 2.50-2.57
Fe: 0.1804 0.1804 0.1804  9 Fe 2.32-2.51
Fe: 0.1804 0.1804 0.4589  9 Fe 2.32-2.51
Fe: 0.1804 0.4589 0.1804  9 Fe 2.32-2.51
Fe: 0.3774 0.3774 0.3774  7 Fe 2.50-2.57
Fe: 0.3774 0.3774 0.8679  7 Fe 2.50-2.57
Fe: 0.3774 0.8679 0.3774  7 Fe 2.50-2.57
Fe: 0.4589 0.1804 0.1804  9 Fe 2.32-2.51
Fe: 0.5000 0.0000 0.0000  8 Fe 2.42-2.57
Fe: 0.5000 0.0000 0.5000  8 Fe 2.42-2.57
Fe: 0.5000 0.5000 0.0000  8 Fe 2.42-2.57
Fe: 0.5000 0.5000 0.5000  8 Fe 2.50
Fe: 0.5411 0.8196 0.8196  9 Fe 2.32-2.51
Fe: 0.6226 0.1321 0.6226  7 Fe 2.50-2.57
Fe: 0.6226 0.6226 0.1321  7 Fe 2.50-2.57
Fe: 0.6226 0.6226 0.6226  7 Fe 2.50-2.57
Fe: 0.8196 0.5411 0.8196  9 Fe 2.32-2.51
Fe: 0.8196 0.8196 0.5411  9 Fe 2.32-2.51
Fe: 0.8196 0.8196 0.8196  9 Fe 2.32-2.51
Fe: 0.8679 0.3774 0.3774  7 Fe 2.50-2.57

=====

| no. | ΔH_f (0 K) (meV per atom) |
| --- | --- |
| 1 | -235.8 |
| 2 | -197.9 |
| 3 | -227.3 |
| 4 | -536.9 |
| 5 | -368.5 |
| 6 | -384.3 |
| 7 | 16.2 |
| 8 | 1242.7 |